1.
AlN4F12: optimized geometry, PBE.

DFT formation energy: -0.550 eV/atom

Cell: 14.892 14.892 14.892 Å, 60.00 60.00 60.00°
Positions (direct):
Al1 0.125 0.125 0.125
Al2 0.875 0.875 0.875
N1 0.247 0.751 0.751
N2 0.249 0.249 0.249
N3 0.249 0.249 0.753
N4 0.249 0.753 0.249
N5 0.751 0.247 0.751
N6 0.751 0.751 0.247
N7 0.751 0.751 0.751
N8 0.753 0.249 0.249
F1 0.183 0.183 0.330
F2 0.183 0.183 0.805
F3 0.183 0.330 0.183
F4 0.183 0.330 0.805
F5 0.183 0.805 0.183
F6 0.183 0.805 0.330
F7 0.195 0.670 0.817
F8 0.195 0.817 0.670
F9 0.195 0.817 0.817
F10 0.330 0.183 0.183
F11 0.330 0.183 0.805
F12 0.330 0.805 0.183
F13 0.670 0.195 0.817
F14 0.670 0.817 0.195
F15 0.670 0.817 0.817
F16 0.805 0.183 0.183
F17 0.805 0.183 0.330
F18 0.805 0.330 0.183
F19 0.817 0.195 0.670
F20 0.817 0.195 0.817
F21 0.817 0.670 0.195
F22 0.817 0.670 0.817
F23 0.817 0.817 0.195
F24 0.817 0.817 0.670

2.
AlNF4: optimized geometry, PBE.

DFT formation energy: -1.693 eV/atom
distance to the lowest polymorph of the same formula: 227 meV per atom

Cell: 7.161 7.161 7.161 Å, 138.73 138.73 59.78°
Positions (direct):
Al1 0.000 0.000 0.000
Al2 0.500 0.500 0.000
N1 0.250 0.750 0.500
N2 0.750 0.250 0.500
F1 0.146 0.146 0.000
F2 0.204 0.704 0.908
F3 0.296 0.204 0.500
F4 0.354 0.354 0.000
F5 0.646 0.646 0.000
F6 0.704 0.796 0.500
F7 0.796 0.296 0.092
F8 0.854 0.854 0.000

3.
AlNF4: optimized geometry, PBE.

DFT formation energy: -1.920 eV/atom
distance to the lowest polymorph of the same formula: 0 meV per atom

Cell: 10.300 10.300 10.300 Å, 111.61 111.61 105.27°
Positions (direct):
Al1 0.000 0.500 0.500
Al2 0.076 0.791 0.867
Al3 0.209 0.076 0.285
Al4 0.291 0.576 0.867
Al5 0.424 0.291 0.715
Al6 0.500 0.000 0.500
Al7 0.576 0.709 0.285
Al8 0.709 0.424 0.133
Al9 0.791 0.924 0.715
Al10 0.924 0.209 0.133
N1 0.029 0.529 0.178
N2 0.149 0.971 0.500
N3 0.250 0.250 0.000
N4 0.351 0.851 0.822
N5 0.471 0.649 0.500
N6 0.529 0.351 0.500
N7 0.649 0.149 0.178
N8 0.750 0.750 0.000
N9 0.851 0.029 0.500
N10 0.971 0.471 0.822
F1 0.000 0.340 0.341
F2 0.000 0.660 0.659
F3 0.065 0.367 0.131
F4 0.066 0.139 0.205
F5 0.066 0.935 0.302
F6 0.133 0.435 0.869
F7 0.139 0.639 0.500
F8 0.139 0.934 0.073
F9 0.160 0.500 0.659
F10 0.220 0.720 0.940
F11 0.235 0.934 0.869
F12 0.265 0.133 0.698
F13 0.280 0.220 0.500
F14 0.340 0.000 0.340
F15 0.361 0.434 0.795
F16 0.361 0.861 0.500
F17 0.367 0.235 0.302
F18 0.434 0.639 0.073
F19 0.434 0.735 0.869
F20 0.435 0.566 0.302
F21 0.500 0.160 0.660
F22 0.500 0.840 0.340
F23 0.565 0.434 0.698
F24 0.566 0.265 0.131
F25 0.566 0.361 0.927
F26 0.633 0.765 0.698
F27 0.639 0.139 0.500
F28 0.639 0.566 0.205
F29 0.660 0.000 0.660
F30 0.720 0.780 0.500
F31 0.735 0.867 0.302
F32 0.765 0.066 0.131
F33 0.780 0.280 0.060
F34 0.840 0.500 0.341
F35 0.861 0.066 0.927
F36 0.861 0.361 0.500
F37 0.867 0.565 0.131
F38 0.934 0.065 0.698
F39 0.934 0.861 0.795
F40 0.935 0.633 0.869

4.
Na5Al3F14: optimized geometry, PBE.

DFT formation energy: -3.514 eV/atom

Cell: 7.118 7.118 10.562 Å, 90.00 90.00 90.00°
Positions (direct):
Na1 0.000 0.000 0.000
Na2 0.225 0.275 0.250
Na3 0.225 0.275 0.750
Na4 0.275 0.775 0.250
Na5 0.275 0.775 0.750
Na6 0.500 0.500 0.500
Na7 0.725 0.225 0.250
Na8 0.725 0.225 0.750
Na9 0.775 0.725 0.250
Na10 0.775 0.725 0.750
Al1 0.000 0.000 0.500
Al2 0.000 0.500 0.000
Al3 0.000 0.500 0.500
Al4 0.500 0.000 0.000
Al5 0.500 0.000 0.500
Al6 0.500 0.500 0.000
F1 0.000 0.000 0.329
F2 0.000 0.000 0.671
F3 0.035 0.680 0.120
F4 0.035 0.680 0.880
F5 0.063 0.248 0.500
F6 0.180 0.535 0.380
F7 0.180 0.535 0.620
F8 0.248 0.937 0.500
F9 0.252 0.437 0.000
F10 0.320 0.035 0.120
F11 0.320 0.035 0.880
F12 0.437 0.748 0.000
F13 0.465 0.180 0.380
F14 0.465 0.180 0.620
F15 0.500 0.500 0.171
F16 0.500 0.500 0.829
F17 0.535 0.820 0.380
F18 0.535 0.820 0.620
F19 0.563 0.252 0.000
F20 0.680 0.965 0.120
F21 0.680 0.965 0.880
F22 0.748 0.563 0.000
F23 0.752 0.063 0.500
F24 0.820 0.465 0.380
F25 0.820 0.465 0.620
F26 0.937 0.752 0.500
F27 0.965 0.320 0.120
F28 0.965 0.320 0.880

5.
Na5AlP2O8F2: optimized geometry, PBE.

DFT formation energy: -2.851 eV/atom

Cell: 10.586 10.586 6.675 Å, 90.00 90.00 120.00°
Positions (direct):
Na1 0.000 0.000 0.000
Na2 0.000 0.000 0.500
Na3 0.000 0.500 0.000
Na4 0.147 0.316 0.266
Na5 0.169 0.853 0.266
Na6 0.316 0.169 0.734
Na7 0.333 0.667 0.083
Na8 0.333 0.667 0.527
Na9 0.500 0.000 0.000
Na10 0.500 0.500 0.000
Na11 0.667 0.333 0.473
Na12 0.667 0.333 0.917
Na13 0.684 0.831 0.266
Na14 0.831 0.147 0.734
Na15 0.853 0.684 0.734
Al1 0.000 0.500 0.500
Al2 0.500 0.000 0.500
Al3 0.500 0.500 0.500
P1 0.184 0.371 0.749
P2 0.186 0.816 0.749
P3 0.371 0.186 0.251
P4 0.629 0.814 0.749
P5 0.814 0.184 0.251
P6 0.816 0.629 0.251
O1 0.080 0.650 0.700
O2 0.099 0.202 0.744
O3 0.103 0.901 0.744
O4 0.127 0.431 0.579
O5 0.175 0.431 0.955
O6 0.202 0.103 0.256
O7 0.256 0.825 0.955
O8 0.304 0.873 0.579
O9 0.350 0.430 0.700
O10 0.430 0.080 0.300
O11 0.431 0.256 0.045
O12 0.431 0.304 0.421
O13 0.569 0.696 0.579
O14 0.569 0.744 0.955
O15 0.570 0.920 0.700
O16 0.650 0.570 0.300
O17 0.696 0.127 0.421
O18 0.744 0.175 0.045
O19 0.798 0.897 0.744
O20 0.825 0.569 0.045
O21 0.873 0.569 0.421
O22 0.897 0.099 0.256
O23 0.901 0.798 0.256
O24 0.920 0.350 0.300
F1 0.137 0.615 0.310
F2 0.385 0.522 0.310
F3 0.478 0.863 0.310
F4 0.522 0.137 0.690
F5 0.615 0.478 0.690
F6 0.863 0.385 0.690

6.
Rb2NaAlF6: optimized geometry, PBE.

DFT formation energy: -3.432 eV/atom

Cell: 5.975 5.975 5.975 Å, 60.00 60.00 60.00°
Positions (direct):
Rb1 0.250 0.250 0.250
Rb2 0.750 0.750 0.750
Na1 0.000 0.000 0.000
Al1 0.500 0.500 0.500
F1 0.281 0.281 0.719
F2 0.281 0.719 0.281
F3 0.281 0.719 0.719
F4 0.719 0.281 0.281
F5 0.719 0.281 0.719
F6 0.719 0.719 0.281

7.
Rb2NaAl3F12: optimized geometry, PBE.

DFT formation energy: -3.647 eV/atom
distance to the lowest polymorph of the same formula: 0 meV per atom

Cell: 7.207 7.107 10.029 Å, 90.00 91.04 90.00°
Positions (direct):
Rb1 0.004 0.250 0.383
Rb2 0.480 0.750 0.862
Rb3 0.520 0.250 0.138
Rb4 0.996 0.750 0.617
Na1 0.219 0.250 0.745
Na2 0.781 0.750 0.255
Al1 0.000 0.000 0.000
Al2 0.000 0.500 0.000
Al3 0.289 0.750 0.229
Al4 0.500 0.000 0.500
Al5 0.500 0.500 0.500
Al6 0.711 0.250 0.771
F1 0.077 0.250 0.010
F2 0.085 0.750 0.323
F3 0.145 0.531 0.861
F4 0.145 0.969 0.861
F5 0.198 0.563 0.115
F6 0.198 0.937 0.115
F7 0.278 0.036 0.569
F8 0.278 0.464 0.569
F9 0.388 0.560 0.337
F10 0.388 0.940 0.337
F11 0.493 0.750 0.556
F12 0.500 0.250 0.861
F13 0.500 0.750 0.139
F14 0.507 0.250 0.444
F15 0.612 0.060 0.663
F16 0.612 0.440 0.663
F17 0.722 0.536 0.431
F18 0.722 0.964 0.431
F19 0.802 0.063 0.885
F20 0.802 0.437 0.885
F21 0.855 0.031 0.139
F22 0.855 0.469 0.139
F23 0.915 0.250 0.677
F24 0.923 0.750 0.990

8.
Rb2NaAl3F12: optimized geometry, PBE.

DFT formation energy: -3.635 eV/atom
distance to the lowest polymorph of the same formula: 12 meV per atom

Cell: 7.107 7.207 10.029 Å, 91.04 90.00 90.00°
Positions (direct):
Rb1 0.000 0.000 0.000
Rb2 0.002 0.505 0.760
Rb3 0.502 0.038 0.283
Rb4 0.509 0.524 0.526
Na1 0.507 0.738 0.889
Na2 0.999 0.294 0.393
Al1 0.248 0.019 0.640
Al2 0.259 0.512 0.144
Al3 0.504 0.226 0.917
Al4 0.752 0.022 0.642
Al5 0.760 0.514 0.143
Al6 0.997 0.803 0.371
F1 0.003 0.443 0.134
F2 0.008 0.009 0.701
F3 0.185 0.718 0.255
F4 0.191 0.900 0.481
F5 0.222 0.240 0.575
F6 0.227 0.659 0.998
F7 0.288 0.796 0.706
F8 0.291 0.374 0.278
F9 0.315 0.319 0.022
F10 0.318 0.124 0.801
F11 0.498 0.019 0.001
F12 0.501 0.598 0.151
F13 0.505 0.433 0.823
F14 0.508 0.021 0.589
F15 0.684 0.320 0.027
F16 0.699 0.124 0.806
F17 0.719 0.790 0.706
F18 0.725 0.374 0.277
F19 0.782 0.662 0.997
F20 0.791 0.242 0.568
F21 0.809 0.898 0.478
F22 0.811 0.709 0.254
F23 0.998 0.020 0.279
F24 0.998 0.599 0.466